16
Lattice="3.471 2.004 11.423 -3.471 2.004 11.423 0.000 -4.008 11.423" Properties=species:S:1:pos:R:3 comment="SrSn3, optimized geometry, DFT GGA-PBE" mass_density_g_cm3=6.18 formation_enthalpy_0k_ev_per_atom=-0.409 e_tot_ev_per_atom=-3.839 pbc="T T T"
Sr 0.000 0.000 4.554
Sr 0.000 0.000 10.032
Sr 0.000 0.000 24.235
Sr 0.000 0.000 29.714
Sn -1.529 -0.883 15.577
Sn 0.000 -2.052 12.918
Sn -1.777 1.026 12.918
Sn -1.777 -1.026 21.349
Sn 0.000 -1.766 18.691
Sn -1.529 0.883 18.691
Sn 1.529 -0.883 15.577
Sn 0.000 1.766 15.577
Sn 1.777 1.026 12.918
Sn 1.777 -1.026 21.349
Sn 0.000 2.052 21.349
Sn 1.529 0.883 18.691